# 1
This record from the Materials Project database describes La5Mn6O18 after structural relaxation. The functional is GGA+U.

Cell lengths 7.837, 9.487, 11.057 Å; angles 73.00, 89.99, 66.30 degrees
Atoms (fractional coordinates):
La: 0.083 0.329 0.413
La: 0.091 0.324 0.923
La: 0.250 0.000 0.747
La: 0.409 0.674 0.083
La: 0.416 0.673 0.577
La: 0.584 0.327 0.423
La: 0.591 0.326 0.917
La: 0.750 0.000 0.253
La: 0.909 0.676 0.077
La: 0.917 0.671 0.587
Mn: 0.000 0.000 0.000
Mn: 0.000 0.000 0.500
Mn: 0.164 0.669 0.834
Mn: 0.166 0.669 0.333
Mn: 0.333 0.331 0.168
Mn: 0.338 0.331 0.669
Mn: 0.500 0.000 0.000
Mn: 0.500 0.000 0.500
Mn: 0.662 0.669 0.331
Mn: 0.667 0.669 0.832
Mn: 0.834 0.331 0.667
Mn: 0.836 0.331 0.166
O: 0.040 0.840 0.408
O: 0.071 0.355 0.184
O: 0.074 0.842 0.906
O: 0.081 0.339 0.692
O: 0.105 0.805 0.154
O: 0.123 0.811 0.657
O: 0.209 0.519 0.508
O: 0.217 0.520 0.011
O: 0.250 0.000 0.974
O: 0.250 0.001 0.489
O: 0.287 0.479 0.271
O: 0.288 0.483 0.767
O: 0.376 0.190 0.562
O: 0.396 0.194 0.058
O: 0.420 0.661 0.860
O: 0.426 0.159 0.827
O: 0.426 0.647 0.363
O: 0.460 0.158 0.328
O: 0.540 0.842 0.672
O: 0.574 0.353 0.637
O: 0.574 0.841 0.173
O: 0.580 0.339 0.140
O: 0.604 0.806 0.942
O: 0.624 0.810 0.438
O: 0.712 0.517 0.233
O: 0.713 0.521 0.729
O: 0.750 0.000 0.026
O: 0.750 0.999 0.511
O: 0.783 0.480 0.989
O: 0.791 0.481 0.492
O: 0.877 0.189 0.343
O: 0.895 0.195 0.846
O: 0.919 0.661 0.308
O: 0.926 0.158 0.094
O: 0.929 0.645 0.816
O: 0.960 0.160 0.592

Summary:
The total energy comes out at -7.852 eV per atom. The symmetry is P-1. As for the total moment: 21.00 μB/f.u.

# 2
This record from the Materials Project database describes BaLiCrF6 after structural relaxation. The functional is GGA+U.

Cell lengths 5.488, 10.601, 8.803 Å; angles 90.00, 90.79, 90.00 degrees
Atoms (fractional coordinates):
Ba: 0.198 0.187 0.497
Ba: 0.198 0.313 0.997
Ba: 0.802 0.687 0.003
Ba: 0.802 0.813 0.503
Li: 0.259 0.589 0.321
Li: 0.259 0.911 0.821
Li: 0.741 0.089 0.179
Li: 0.741 0.411 0.679
Cr: 0.261 0.588 0.731
Cr: 0.261 0.912 0.231
Cr: 0.739 0.088 0.769
Cr: 0.739 0.412 0.269
F: 0.039 0.007 0.699
F: 0.039 0.493 0.199
F: 0.102 0.747 0.258
F: 0.102 0.753 0.758
F: 0.159 0.604 0.522
F: 0.159 0.896 0.022
F: 0.340 0.593 0.947
F: 0.340 0.907 0.447
F: 0.396 0.082 0.208
F: 0.396 0.418 0.708
F: 0.423 0.160 0.809
F: 0.423 0.340 0.309
F: 0.577 0.660 0.691
F: 0.577 0.840 0.191
F: 0.604 0.582 0.292
F: 0.604 0.918 0.792
F: 0.660 0.093 0.553
F: 0.660 0.407 0.053
F: 0.841 0.104 0.978
F: 0.841 0.396 0.478
F: 0.898 0.247 0.242
F: 0.898 0.253 0.742
F: 0.961 0.507 0.801
F: 0.961 0.993 0.301

Summary:
The total energy comes out at -5.736 eV per atom. The symmetry is P2_1/c. As for the total moment: 3.00 μB/f.u.

# 3
This record from the Materials Project database describes K3FeO2 after structural relaxation. The functional is GGA+U.

Cell lengths 6.192, 6.192, 14.647 Å; angles 90.00, 90.00, 90.08 degrees
Atoms (fractional coordinates):
K: 0.011 0.515 0.125
K: 0.015 0.489 0.875
K: 0.031 0.969 0.750
K: 0.469 0.469 0.500
K: 0.485 0.989 0.375
K: 0.489 0.015 0.125
K: 0.511 0.985 0.625
K: 0.515 0.011 0.875
K: 0.531 0.531 0.000
K: 0.969 0.031 0.250
K: 0.985 0.511 0.375
K: 0.989 0.485 0.625
Fe: 0.004 0.004 0.000
Fe: 0.496 0.504 0.250
Fe: 0.504 0.496 0.750
Fe: 0.996 0.996 0.500
O: 0.203 0.787 0.507
O: 0.213 0.797 0.993
O: 0.287 0.297 0.257
O: 0.297 0.287 0.743
O: 0.703 0.713 0.243
O: 0.713 0.703 0.757
O: 0.787 0.203 0.493
O: 0.797 0.213 0.007

Summary:
Its largest piezoelectric modulus is 0.01 C/m2. The total energy comes out at -4.237 eV per atom. The symmetry is C222_1. As for the total moment: 0.00 μB/f.u.

# 4
This record from the Materials Project database describes Na3Li3Fe2P2C2O14 after structural relaxation. The functional is GGA+U.

Cell lengths 5.057, 6.786, 8.669 Å; angles 89.15, 87.17, 89.40 degrees
Atoms (fractional coordinates):
Na: 0.000 0.000 0.000
Na: 0.000 0.493 0.000
Na: 0.507 0.997 0.519
Li: 0.006 0.730 0.356
Li: 0.494 0.260 0.169
Li: 0.497 0.519 0.539
Fe: 0.038 0.255 0.607
Fe: 0.480 0.746 0.910
P: 0.545 0.252 0.851
P: 0.972 0.745 0.664
C: 0.528 0.736 0.219
C: 0.964 0.250 0.310
O: 0.029 0.934 0.566
O: 0.083 0.572 0.563
O: 0.097 0.748 0.823
O: 0.212 0.245 0.342
O: 0.282 0.741 0.183
O: 0.419 0.269 0.691
O: 0.460 0.063 0.943
O: 0.465 0.427 0.959
O: 0.598 0.720 0.360
O: 0.665 0.721 0.691
O: 0.712 0.746 0.107
O: 0.782 0.264 0.422
O: 0.853 0.249 0.822
O: 0.891 0.243 0.169

Summary:
The total energy comes out at -6.579 eV per atom. The symmetry is P1. As for the total moment: 8.00 μB/f.u.

# 5
This record from the Materials Project database describes Fe3P2O10 after structural relaxation. The functional is GGA+U.

Cell lengths 7.301, 7.301, 5.165 Å; angles 109.25, 109.25, 43.98 degrees
Atoms (fractional coordinates):
Fe: 0.000 0.000 0.000
Fe: 0.000 0.500 0.000
Fe: 0.500 0.000 0.000
P: 0.387 0.387 0.636
P: 0.613 0.613 0.364
O: 0.142 0.142 0.947
O: 0.213 0.686 0.713
O: 0.299 0.299 0.776
O: 0.314 0.787 0.287
O: 0.328 0.328 0.313
O: 0.672 0.672 0.687
O: 0.686 0.213 0.713
O: 0.701 0.701 0.224
O: 0.787 0.314 0.287
O: 0.858 0.858 0.053

Summary:
The total energy comes out at -6.855 eV per atom. The symmetry is C2/m. As for the total moment: 14.00 μB/f.u.

# 6
This record from the Materials Project database describes MgMn6O10F2 after structural relaxation. The functional is GGA+U.

Cell lengths 5.131, 5.742, 7.586 Å; angles 81.36, 83.86, 80.98 degrees
Atoms (fractional coordinates):
Mg: 0.000 0.000 0.000
Mn: 0.103 0.385 0.218
Mn: 0.505 0.160 0.838
Mn: 0.526 0.478 0.519
Mn: 0.548 0.803 0.188
Mn: 0.948 0.956 0.511
Mn: 0.959 0.594 0.823
O: 0.163 0.307 0.939
O: 0.170 0.662 0.603
O: 0.392 0.193 0.612
O: 0.403 0.524 0.284
O: 0.628 0.106 0.079
O: 0.651 0.440 0.757
O: 0.675 0.777 0.413
O: 0.840 0.948 0.767
O: 0.851 0.286 0.432
O: 0.874 0.662 0.077
F: 0.158 0.984 0.254
F: 0.361 0.839 0.944

Summary:
The total energy comes out at -6.915 eV per atom. The symmetry is P1. As for the total moment: 22.00 μB/f.u.

# 7
This record from the Materials Project database describes AlCrF5 after structural relaxation. The functional is GGA+U.

Cell lengths 5.271, 5.271, 5.271 Å; angles 139.35, 106.18, 87.86 degrees
Atoms (fractional coordinates):
Al: 0.000 0.000 0.000
Cr: 0.500 0.500 0.000
F: 0.000 0.500 0.500
F: 0.238 0.238 0.000
F: 0.290 0.000 0.290
F: 0.710 0.000 0.710
F: 0.762 0.762 0.000

Summary:
The total energy comes out at -6.076 eV per atom. The symmetry is Immm.

# 8
This record from the Materials Project database describes KMnO2 after structural relaxation. The functional is GGA+U.

Cell lengths 7.024, 7.024, 7.024 Å; angles 125.66, 125.66, 80.45 degrees
Atoms (fractional coordinates):
K: 0.000 0.000 0.000
K: 0.000 0.000 0.500
K: 0.000 0.500 0.000
K: 0.500 0.000 0.500
Mn: 0.000 0.500 0.500
Mn: 0.500 0.000 0.000
Mn: 0.500 0.500 0.000
Mn: 0.500 0.500 0.500
O: 0.255 0.313 0.559
O: 0.255 0.696 0.941
O: 0.304 0.745 0.559
O: 0.313 0.255 0.059
O: 0.687 0.745 0.941
O: 0.696 0.255 0.441
O: 0.745 0.304 0.059
O: 0.745 0.687 0.441

Summary:
The total energy comes out at -6.081 eV per atom. The symmetry is I4_1/amd. As for the total moment: 4.00 μB/f.u.

# 9
This record from the Materials Project database describes MgMoH2O5 after structural relaxation. The functional is GGA+U.

Cell lengths 5.758, 5.892, 7.015 Å; angles 100.45, 94.67, 106.53 degrees
Atoms (fractional coordinates):
Mg: 0.139 0.207 0.195
Mg: 0.861 0.793 0.805
Mo: 0.245 0.379 0.746
Mo: 0.755 0.621 0.254
H: 0.370 0.850 0.200
H: 0.430 0.907 0.811
H: 0.570 0.093 0.189
H: 0.630 0.150 0.800
O: 0.122 0.140 0.878
O: 0.141 0.266 0.494
O: 0.143 0.637 0.826
O: 0.403 0.026 0.219
O: 0.425 0.529 0.213
O: 0.575 0.471 0.787
O: 0.597 0.974 0.781
O: 0.857 0.363 0.174
O: 0.859 0.734 0.506
O: 0.878 0.860 0.122

Summary:
The total energy comes out at -6.184 eV per atom. The symmetry is P-1.

# 10
This record from the Materials Project database describes LiVNiO4 after structural relaxation. The functional is GGA+U.

Cell lengths 5.873, 5.873, 5.873 Å; angles 120.44, 119.13, 90.38 degrees
Atoms (fractional coordinates):
Li: 0.500 0.000 0.000
Li: 0.500 0.500 0.500
V: 0.123 0.373 0.750
V: 0.877 0.627 0.250
Ni: 0.000 0.000 0.000
Ni: 0.500 0.000 0.500
O: 0.235 0.748 0.487
O: 0.239 0.252 0.987
O: 0.247 0.246 0.499
O: 0.247 0.748 0.001
O: 0.753 0.252 0.999
O: 0.753 0.754 0.501
O: 0.761 0.748 0.013
O: 0.765 0.252 0.513

Summary:
The total energy comes out at -6.336 eV per atom. The symmetry is Imma. As for the total moment: 2.00 μB/f.u.

# 11
This record from the Materials Project database describes Ba2MgMoO6 after structural relaxation. The functional is GGA+U.

Cell lengths 5.807, 5.807, 5.807 Å; angles 60.00, 60.00, 60.00 degrees
Atoms (fractional coordinates):
Ba: 0.250 0.250 0.250
Ba: 0.750 0.750 0.750
Mg: 0.000 0.000 0.000
Mo: 0.500 0.500 0.500
O: 0.261 0.261 0.739
O: 0.261 0.739 0.261
O: 0.261 0.739 0.739
O: 0.739 0.261 0.261
O: 0.739 0.261 0.739
O: 0.739 0.739 0.261

Summary:
The total energy comes out at -6.700 eV per atom. The symmetry is Fm-3m. As for the total moment: 0.00 μB/f.u.

# 12
This record from the Materials Project database describes MgCo4Ag4O8 after structural relaxation. The functional is GGA+U.

Cell lengths 3.056, 3.056, 26.691 Å; angles 90.69, 90.69, 59.67 degrees
Atoms (fractional coordinates):
Mg: 0.000 0.000 0.000
Co: 0.000 0.000 0.553
Co: 0.661 0.661 0.094
Co: 0.665 0.665 0.320
Co: 0.999 0.999 0.786
Ag: 0.001 0.001 0.205
Ag: 0.323 0.323 0.436
Ag: 0.332 0.332 0.907
Ag: 0.677 0.677 0.669
O: 0.016 0.016 0.283
O: 0.314 0.314 0.357
O: 0.326 0.326 0.514
O: 0.326 0.326 0.824
O: 0.335 0.335 0.033
O: 0.669 0.669 0.748
O: 0.675 0.675 0.590
O: 0.995 0.995 0.126

Summary:
The total energy comes out at -5.043 eV per atom. The symmetry is Cm. As for the total moment: 12.84 μB/f.u.